Here is an optimized crystal structure of Ba4UCr2S9 from Materials Project. Energies are from GGA-PBE.

POSCAR file:
```
Ba4UCr2S9
1.0
6.040 -10.461 0.000
6.040 10.461 0.000
0.000 0.000 9.663
Ba U Cr S
12 3 6 27
Direct
0.957 0.297 0.750
0.000 0.681 0.000
0.681 0.000 0.000
0.297 0.957 0.250
0.703 0.660 0.750
0.660 0.703 0.250
0.375 0.375 0.500
0.043 0.340 0.250
0.319 0.319 0.000
0.340 0.043 0.750
0.625 0.000 0.500
0.000 0.625 0.500
0.333 0.667 0.744
0.667 0.333 0.256
0.000 0.000 0.500
0.333 0.667 0.398
0.667 0.333 0.602
0.000 0.000 0.159
0.333 0.667 0.082
0.667 0.333 0.918
0.000 0.000 0.841
0.506 0.687 0.550
0.320 0.821 0.933
0.647 0.165 0.761
0.687 0.506 0.450
0.847 0.847 0.000
0.680 0.501 0.067
0.313 0.819 0.550
0.153 0.000 0.000
0.179 0.499 0.933
0.821 0.320 0.067
0.181 0.494 0.550
0.482 0.835 0.239
0.494 0.181 0.450
0.165 0.647 0.239
0.830 0.986 0.690
0.499 0.179 0.067
0.000 0.153 0.000
0.014 0.844 0.690
0.501 0.680 0.933
0.353 0.518 0.239
0.170 0.156 0.310
0.844 0.014 0.310
0.156 0.170 0.690
0.518 0.353 0.761
0.835 0.482 0.761
0.986 0.830 0.310
0.819 0.313 0.450
```

Calculated formation energy   -29.8 eV/f.u.

Here is an optimized crystal structure of AlSi from Materials Project. Energies are from GGA-PBE.

POSCAR file:
```
AlSi
1.0
3.152 0.000 0.000
0.000 3.152 0.000
0.000 0.000 3.152
Al Si
1 1
Direct
0.000 0.000 0.000
0.500 0.500 0.500
```

Calculated formation energy   0.6 eV/f.u.

Here is an optimized crystal structure of EuTl from Materials Project. Energies are from GGA-PBE.

POSCAR file:
```
EuTl
1.0
-1.838 -1.302 3.907
4.118 -0.581 1.743
0.000 4.278 1.426
Eu Tl
1 1
Direct
0.000 0.000 0.000
0.500 0.500 0.500
```

Calculated formation energy   -0.3 eV/f.u.

Here is an optimized crystal structure of CeBC from Materials Project. Energies are from GGA-PBE.

POSCAR file:
```
CeBC
1.0
8.309 0.000 0.000
0.000 8.331 0.000
0.000 0.000 12.139
Ce B C
20 20 20
Direct
0.448 0.099 0.861
0.939 0.803 0.633
0.343 0.591 0.097
0.660 0.492 0.918
0.843 0.909 0.903
0.552 0.599 0.639
0.840 0.508 0.418
0.255 0.291 0.328
0.755 0.209 0.672
0.061 0.303 0.867
0.052 0.901 0.361
0.340 0.992 0.582
0.561 0.197 0.133
0.745 0.791 0.172
0.439 0.697 0.367
0.157 0.409 0.597
0.160 0.008 0.082
0.245 0.709 0.828
0.948 0.401 0.139
0.657 0.091 0.403
0.062 0.705 0.180
0.938 0.205 0.320
0.399 0.981 0.261
0.562 0.795 0.820
0.979 0.608 0.960
0.880 0.096 0.214
0.479 0.892 0.040
0.620 0.904 0.714
0.101 0.019 0.761
0.815 0.199 0.992
0.185 0.699 0.508
0.899 0.519 0.739
0.380 0.404 0.786
0.120 0.596 0.286
0.438 0.295 0.680
0.601 0.481 0.239
0.021 0.108 0.540
0.521 0.392 0.460
0.315 0.301 0.008
0.685 0.801 0.492
0.056 0.116 0.661
0.147 0.597 0.408
0.972 0.199 0.440
0.855 0.506 0.621
0.248 0.698 0.623
0.353 0.403 0.908
0.944 0.616 0.839
0.853 0.097 0.092
0.528 0.801 0.940
0.472 0.301 0.560
0.252 0.302 0.123
0.444 0.884 0.161
0.145 0.006 0.879
0.028 0.699 0.060
0.355 0.994 0.379
0.752 0.198 0.877
0.645 0.494 0.121
0.647 0.903 0.592
0.748 0.802 0.377
0.556 0.384 0.339
```

Calculated formation energy   -1.2 eV/f.u.

Here is an optimized crystal structure of Ba4Ge20Au3 from Materials Project. Energies are from GGA-PBE.

POSCAR file:
```
Ba4Ge20Au3
1.0
11.004 0.000 0.000
0.000 11.004 0.000
0.000 0.000 11.004
Ba Ge Au
8 40 6
Direct
0.000 0.000 0.000
0.500 0.500 0.500
0.250 0.500 0.000
0.750 0.500 0.000
0.500 0.000 0.250
0.500 0.000 0.750
0.000 0.750 0.500
0.000 0.250 0.500
0.183 0.183 0.183
0.683 0.317 0.683
0.683 0.683 0.317
0.317 0.683 0.683
0.817 0.817 0.183
0.183 0.817 0.817
0.817 0.183 0.817
0.317 0.317 0.317
0.817 0.817 0.817
0.317 0.683 0.317
0.317 0.317 0.683
0.683 0.317 0.317
0.183 0.183 0.817
0.817 0.183 0.183
0.183 0.817 0.183
0.683 0.683 0.683
0.000 0.309 0.117
0.500 0.383 0.809
0.500 0.617 0.191
0.617 0.809 0.500
0.383 0.809 0.500
0.191 0.500 0.617
0.809 0.500 0.617
0.117 0.000 0.309
0.309 0.117 0.000
0.691 0.883 0.000
0.117 0.000 0.691
0.691 0.117 0.000
0.883 0.000 0.309
0.883 0.000 0.691
0.309 0.883 0.000
0.000 0.691 0.883
0.000 0.309 0.883
0.000 0.691 0.117
0.809 0.500 0.383
0.191 0.500 0.383
0.617 0.191 0.500
0.383 0.191 0.500
0.500 0.617 0.809
0.500 0.383 0.191
0.250 0.000 0.500
0.750 0.000 0.500
0.000 0.500 0.250
0.000 0.500 0.750
0.500 0.750 0.000
0.500 0.250 0.000
```

Calculated formation energy   -8.7 eV/f.u.

Here is an optimized crystal structure of MgNb2O5 from Materials Project. Energies are from GGA-PBE.

POSCAR file:
```
MgNb2O5
1.0
3.725 0.000 -1.114
-0.010 4.144 -0.031
0.125 0.026 7.195
Mg Nb O
1 2 5
Direct
0.703 0.500 0.408
0.136 0.000 0.272
0.860 0.004 0.720
0.147 0.500 0.295
0.847 0.505 0.695
0.997 0.003 0.995
0.309 0.005 0.618
0.684 0.000 0.368
```

Calculated formation energy   -22.1 eV/f.u.

Here is an optimized crystal structure of K3Mn from Materials Project. Energies are from GGA-PBE.

POSCAR file:
```
K3Mn
1.0
0.000 4.592 4.592
4.592 0.000 4.592
4.592 4.592 0.000
K Mn
3 1
Direct
0.250 0.250 0.250
0.750 0.750 0.750
0.500 0.500 0.500
0.000 0.000 0.000
```

Calculated formation energy   2.6 eV/f.u.

Here is an optimized crystal structure of Sn5Te3O18 from Materials Project. Energies are from GGA-PBE.

POSCAR file:
```
Sn5Te3O18
1.0
-8.316 1.131 -3.287
-6.763 -5.081 3.113
-3.359 7.180 7.784
Sn Te O
10 6 36
Direct
0.307 0.003 0.730
0.003 0.307 0.230
0.172 0.518 0.035
0.518 0.172 0.535
0.482 0.828 0.465
0.820 0.180 0.750
0.180 0.820 0.250
0.828 0.482 0.965
0.693 0.997 0.270
0.997 0.693 0.770
0.679 0.659 0.707
0.000 0.000 0.000
0.000 0.000 0.500
0.659 0.679 0.207
0.321 0.341 0.293
0.341 0.321 0.793
0.898 0.615 0.640
0.254 0.937 0.566
0.436 0.752 0.306
0.925 0.924 0.182
0.063 0.746 0.934
0.076 0.075 0.318
0.603 0.607 0.071
0.885 0.230 0.583
0.115 0.770 0.417
0.237 0.288 0.145
0.459 0.756 0.793
0.763 0.712 0.855
0.746 0.063 0.434
0.560 0.917 0.612
0.244 0.541 0.707
0.397 0.393 0.929
0.541 0.244 0.207
0.083 0.440 0.888
0.248 0.564 0.194
0.756 0.459 0.293
0.615 0.898 0.140
0.440 0.083 0.388
0.770 0.115 0.917
0.607 0.603 0.571
0.564 0.248 0.694
0.924 0.925 0.682
0.288 0.237 0.645
0.393 0.397 0.429
0.937 0.254 0.066
0.917 0.560 0.112
0.102 0.385 0.360
0.075 0.076 0.818
0.230 0.885 0.083
0.712 0.763 0.355
0.752 0.436 0.806
0.385 0.102 0.860
```

Calculated formation energy   -43.0 eV/f.u.

no.,final energy (hartree per atom),calculated volume (Å³/cell)
1,-0.2314,1221.0
2,-0.1587,31.3
3,-0.2381,91.7
4,-0.2821,840.3
5,-0.1615,1332.3
6,-0.2994,111.6
7,-0.0909,193.7
8,-0.2109,778.2